DFT (PBE) results for a geometry-optimized Tb8Cu3Te16 structure.

Unit cell a=12.5459 b=9.8635 c=8.1327 alpha=90.14 beta=90.26 gamma=50.52
With the nearest neighbours (Å) after each atom.
Atoms (fractional coordinates):
Te  0.1856  0.3936  0.4047  1 Cu 2.65
Te  0.3232  0.6118  0.5880  1 Cu 2.58
Te  0.2810  0.9327  0.2514  2 Te 3.11-3.16, 4 Tb 3.19-3.22
Te  0.6828  0.3898  0.4142  1 Cu 2.58
Te  0.0671  0.6114  0.9136  1 Cu 2.60
Te  0.5352  0.9282  0.2496  1 Cu 2.61
Te  0.2142  0.0709  0.7518  1 Cu 2.62
Te  0.0372  0.9246  0.2510  2 Te 3.11-3.12, 4 Tb 3.18-3.23
Te  0.5631  0.6084  0.9058  2 Cu 2.65-2.67
Te  0.9642  0.0715  0.7495  2 Te 3.13, 4 Tb 3.21-3.23
Te  0.4674  0.0654  0.7511  2 Te 3.14, 4 Tb 3.19-3.23
Te  0.8245  0.6102  0.5918  1 Cu 2.68
Te  0.7865  0.9293  0.2493  2 Te 3.12-3.16, 4 Tb 3.19-3.23
Te  0.7153  0.0708  0.7478  1 Cu 2.61
Te  0.4216  0.3937  0.0974  1 Cu 2.64
Te  0.9256  0.3912  0.0909  1 Cu 2.67
Tb  0.0025  0.2388  0.4396  7 Te 3.06-3.28, 1 Cu 3.20
Tb  0.5083  0.2352  0.4435  8 Te 3.06-3.38, 1 Cu 3.36
Tb  0.2404  0.7641  0.9450  8 Te 3.08-3.35, 1 Cu 3.18
Tb  0.2563  0.2351  0.0571  8 Te 3.08-3.40, 1 Cu 3.37
Tb  0.7619  0.2324  0.0611  7 Te 3.11-3.29, 2 Cu 3.16-3.24
Tb  0.7488  0.7608  0.9418  7 Te 3.07-3.27, 1 Cu 3.22
Tb  0.4925  0.7660  0.5538  8 Te 3.08-3.41, 1 Cu 3.36
Tb  0.9941  0.7626  0.5560  8 Te 3.07-3.39, 1 Cu 3.16
Cu  0.6649  0.5949  0.1977  4 Te 2.58-2.67
Cu  0.5081  0.4003  0.8051  4 Te 2.58-2.67
Cu  0.0869  0.4033  0.6962  4 Te 2.60-2.68

Properties
- total magnetic moment (μB/cell) = 0.0
- space group = No. 1
- ΔE_f (eV per formula unit) = -35.04

=====

DFT (PBE) results for a geometry-optimized TbCu3Te3 structure.

Unit cell a=8.2107 b=8.2107 c=8.2107 alpha=54.09 beta=54.09 gamma=54.09
With the nearest neighbours (Å) after each atom.
Atoms (fractional coordinates):
Cu  0.1264  0.4719  0.7690  4 Te 2.58-2.68
Cu  0.7690  0.1264  0.4719  4 Te 2.58-2.68
Cu  0.8736  0.5281  0.2310  4 Te 2.58-2.68
Cu  0.5281  0.2310  0.8736  4 Te 2.58-2.68
Cu  0.2310  0.8736  0.5281  4 Te 2.58-2.68
Cu  0.4719  0.7690  0.1264  4 Te 2.58-2.68
Te  0.0819  0.7639  0.4046  4 Cu 2.58-2.68
Te  0.5954  0.9181  0.2361  4 Cu 2.58-2.68
Te  0.4046  0.0819  0.7639  4 Cu 2.58-2.68
Te  0.9181  0.2361  0.5954  4 Cu 2.58-2.68
Te  0.2361  0.5954  0.9181  4 Cu 2.58-2.68
Te  0.7639  0.4046  0.0819  4 Cu 2.58-2.68
Tb  0.6659  0.6659  0.6659  6 Te 3.08
Tb  0.3341  0.3341  0.3341  6 Te 3.08

Properties
- total magnetic moment (μB/cell) = 0.0
- space group = No. 148
- ΔE_f (eV per formula unit) = -4.80